30
Lattice="-11.672 -4.083 -3.996 9.780 -8.470 1.215 -1.734 -1.112 6.200" Properties=species:S:1:pos:R:3 comment="r²SCAN RbMnBr3, relaxed" ef_mev_per_atom=-1597.2 pbc="T T T"
Rb 2.727 -3.171 2.326
Rb -2.035 -5.090 4.093
Rb 0.600 -12.091 3.573
Rb -4.432 -1.707 0.587
Rb -1.797 -8.709 0.068
Rb -6.559 -10.627 1.834
Br -0.731 -2.327 1.051
Br 3.929 -6.762 2.368
Br -0.769 -8.658 4.156
Br 1.671 -9.464 1.252
Br -2.869 -11.323 2.281
Br -7.937 -7.150 2.423
Br -11.357 -6.297 0.810
Br -5.679 -4.447 3.539
Br 7.757 -7.353 2.522
Br -4.423 -7.911 3.269
Br 2.758 -9.337 5.021
Br 0.414 -6.001 1.522
Br -10.181 -3.685 -1.835
Br 6.580 -9.965 5.167
Br -6.766 -4.575 -0.230
Br 1.425 -5.900 5.264
Br -3.239 -5.254 0.634
Br -5.433 -8.011 -0.474
Mn -4.710 -5.667 -1.583
Mn -2.755 -13.107 0.308
Mn 1.574 -7.685 3.254
Mn 2.441 -7.129 0.154
Mn -5.577 -6.223 1.517
Mn -1.730 -1.110 6.188